! Eu2Ti2O5 | the Materials Project | PBE-GGA | relaxed; values from VASP
! VASP energy ... -87.307 eV for the cell shown
! E above lowest polymorph ... 0 meV per atom
! Formation energy from the elements ... -29.7 eV per formula unit
! Symmetry ... P4/mmm
! MP2020-corrected energy ... -10.08 eV per atom
&SYSTEM
  ibrav = 0, nat = 9, ntyp = 3
/
ATOMIC_SPECIES
Eu 151.96 Eu.upf
Ti 47.87 Ti.upf
O 16.00 O.upf
CELL_PARAMETERS angstrom
3.957 0.000 0.000
0.000 3.957 0.000
0.000 0.000 7.473
ATOMIC_POSITIONS angstrom
Eu 0.000 0.000 0.000
Eu 0.000 0.000 3.736
Ti 1.978 1.978 1.765
Ti 1.978 1.978 5.707
O 0.000 1.978 1.677
O 0.000 1.978 5.795
O 1.978 0.000 1.677
O 1.978 0.000 5.795
O 1.978 1.978 3.736

***

! Ba2SrIr3O9 | the Materials Project | PBE-GGA | relaxed; values from VASP
! VASP energy ... -399.435 eV for the cell shown
! Formation energy from the elements ... -29.5 eV per formula unit
! Symmetry ... P-6m2
! MP2020-corrected energy ... -7.07 eV per atom
&SYSTEM
  ibrav = 0, nat = 60, ntyp = 4
/
ATOMIC_SPECIES
Ba 137.33 Ba.upf
Sr 87.62 Sr.upf
Ir 192.22 Ir.upf
O 16.00 O.upf
CELL_PARAMETERS angstrom
5.777 0.000 0.000
-2.889 5.003 0.000
0.000 0.000 29.690
ATOMIC_POSITIONS angstrom
Ba 0.000 0.000 2.426
Ba 0.000 0.000 7.462
Ba 0.000 0.000 12.368
Ba 0.000 0.000 17.322
Ba 0.000 0.000 22.229
Ba 0.000 0.000 27.264
Ba 2.889 1.668 4.953
Ba 2.889 1.668 24.738
Sr 0.000 3.335 0.000
Sr 0.000 3.335 9.875
Sr 0.000 3.335 19.815
Sr 2.889 1.668 14.845
Ir 0.000 3.335 3.604
Ir 0.000 3.335 6.291
Ir 0.000 3.335 13.507
Ir 0.000 3.335 16.184
Ir 0.000 3.335 23.399
Ir 0.000 3.335 26.086
Ir 2.889 1.668 1.341
Ir 2.889 1.668 8.568
Ir 2.889 1.668 11.246
Ir 2.889 1.668 18.444
Ir 2.889 1.668 21.122
Ir 2.889 1.668 28.349
O 4.333 2.501 12.376
O 4.333 2.501 17.314
O -1.415 2.519 7.485
O -1.415 2.519 22.206
O -1.414 2.519 2.417
O -1.414 2.519 27.273
O 0.000 1.799 14.845
O -1.331 4.104 14.845
O 0.000 1.806 4.947
O 0.000 1.806 24.744
O -1.324 4.100 4.947
O -1.324 4.100 24.744
O 1.561 0.901 0.000
O 1.559 0.900 9.909
O 1.559 0.900 19.781
O 1.414 2.519 2.417
O 1.414 2.519 27.273
O 0.000 4.968 2.417
O 0.000 4.968 27.273
O 1.415 2.519 7.485
O 1.415 2.519 22.206
O 0.000 4.969 7.485
O 0.000 4.969 22.206
O 2.889 0.000 12.376
O 2.889 0.000 17.314
O 1.445 2.501 12.376
O 1.445 2.501 17.314
O 1.324 4.100 4.947
O 1.324 4.100 24.744
O 1.331 4.104 14.845
O 4.216 0.901 0.000
O 4.218 0.900 9.909
O 4.218 0.900 19.781
O 2.889 3.201 0.000
O 2.889 3.203 9.909
O 2.889 3.203 19.781

***

! Na3Nb2Zn2P5SO24 | the Materials Project | PBE-GGA | relaxed; values from VASP
! VASP energy ... -763.746 eV for the cell shown
! Formation energy from the elements ... -94.4 eV per formula unit
! Symmetry ... P1
! MP2020-corrected energy ... -7.33 eV per atom
&SYSTEM
  ibrav = 0, nat = 111, ntyp = 6
/
ATOMIC_SPECIES
Na 22.99 Na.upf
Nb 92.91 Nb.upf
Zn 65.41 Zn.upf
P 30.97 P.upf
S 32.06 S.upf
O 16.00 O.upf
CELL_PARAMETERS angstrom
8.816 0.000 0.000
4.405 7.669 0.000
0.039 0.029 22.488
ATOMIC_POSITIONS angstrom
Na 0.000 0.000 0.000
Na 0.079 0.056 11.227
Na 5.722 5.253 12.981
Na 4.446 2.575 14.988
Na 4.526 2.524 3.717
Na 8.879 5.254 18.686
Na 8.941 5.268 7.457
Na 7.692 2.707 9.229
Na 10.146 2.727 20.477
Nb 0.163 0.042 18.992
Nb 0.175 0.065 7.746
Nb 4.487 2.573 11.485
Nb 4.493 2.552 0.244
Nb 8.928 5.155 4.002
Nb 8.927 5.122 15.231
Zn 0.151 0.099 14.381
Zn 4.516 2.674 18.138
Zn 4.533 2.534 6.887
Zn 8.961 5.214 10.643
Zn 8.979 5.224 21.879
Zn 8.898 0.181 3.120
P 1.444 2.275 16.617
P 1.972 2.653 9.076
P 3.247 4.848 20.372
P 2.673 0.074 5.313
P 5.787 5.460 16.566
P 5.789 4.827 9.118
P 3.311 0.352 20.338
P 7.643 7.379 12.873
P 7.082 2.641 20.335
P 5.775 0.326 9.102
P 7.670 2.883 12.828
P 10.233 7.364 1.623
P 7.588 2.279 5.376
P 10.173 2.905 1.578
P 11.491 5.188 12.859
S 3.255 5.488 5.362
S 6.332 5.156 1.637
S 6.367 0.059 16.617
O 3.658 6.330 13.048
O 1.113 1.462 15.406
O 3.773 6.110 4.166
O 1.097 1.294 9.002
O 3.958 6.254 20.239
O 3.451 3.985 19.159
O 2.803 2.813 7.849
O 2.951 2.857 1.511
O 3.553 3.851 12.773
O 3.769 4.143 5.538
O 2.923 2.491 16.791
O 2.875 2.407 10.365
O 5.072 6.231 8.981
O 1.697 0.333 20.253
O 3.917 4.157 21.643
O 1.799 0.171 4.106
O 5.249 6.083 15.300
O 5.476 6.423 17.820
O 6.149 7.580 13.051
O 5.433 6.281 1.820
O 6.144 7.508 6.616
O 3.514 1.314 21.615
O 5.148 4.172 10.433
O 3.588 1.251 5.512
O 5.262 4.064 16.774
O 3.853 1.011 19.112
O 5.535 3.949 7.926
O 3.952 1.113 12.752
O 5.525 3.870 1.574
O 7.135 5.313 0.440
O 7.855 6.511 11.662
O 7.381 5.422 16.506
O 7.935 6.394 5.235
O 7.214 4.950 2.865
O 8.195 6.618 20.562
O 7.283 5.023 9.301
O 6.074 2.883 12.780
O 8.305 6.694 14.147
O 5.102 1.120 1.515
O 6.249 2.805 19.106
O 6.120 2.554 5.562
O 5.228 0.975 7.871
O 6.168 2.409 21.623
O 5.477 1.194 16.783
O 5.535 1.300 10.368
O 7.935 3.869 14.075
O 9.550 6.672 2.899
O 9.652 6.606 9.302
O 8.069 3.778 20.538
O 9.922 6.573 0.390
O 8.187 3.506 11.553
O 8.352 3.682 5.239
O 9.953 6.446 16.563
O 7.850 1.440 4.166
O 7.168 0.198 15.418
O 7.375 0.311 9.021
O 7.968 1.303 20.233
O 11.651 7.530 17.844
O 8.191 1.494 13.056
O 8.262 1.597 6.671
O 11.714 7.558 1.825
O 9.522 3.695 16.499
O 10.532 5.403 5.293
O 10.665 5.351 11.625
O 9.631 3.518 0.307
O 9.772 3.758 9.266
O 9.861 3.849 2.831
O 10.570 5.045 20.555
O 10.573 4.966 14.142
O 9.597 1.618 17.925
O 12.300 6.349 6.591
O 9.655 1.499 1.757

***

! Mn3AuN | the Materials Project | PBE-GGA | relaxed; values from VASP
! VASP energy ... -39.647 eV for the cell shown
! Formation energy from the elements ... -0.9 eV per formula unit
! Symmetry ... Pm-3m
! MP2020-corrected energy ... -8.00 eV per atom
&SYSTEM
  ibrav = 0, nat = 5, ntyp = 3
/
ATOMIC_SPECIES
Mn 54.94 Mn.upf
Au 196.97 Au.upf
N 14.01 N.upf
CELL_PARAMETERS angstrom
3.823 0.000 0.000
0.000 3.823 0.000
0.000 0.000 3.823
ATOMIC_POSITIONS angstrom
Mn 0.000 0.000 1.911
Mn 0.000 1.911 0.000
Mn 1.911 0.000 0.000
Au 1.911 1.911 1.911
N 0.000 0.000 0.000

***

! Fe4Se3Br | the Materials Project | PBE-GGA | relaxed; values from VASP
! VASP energy ... -46.878 eV for the cell shown
! Formation energy from the elements ... -1.4 eV per formula unit
! Symmetry ... I4mm
! MP2020-corrected energy ... -5.93 eV per atom
&SYSTEM
  ibrav = 0, nat = 8, ntyp = 3
/
ATOMIC_SPECIES
Fe 55.84 Fe.upf
Se 78.96 Se.upf
Br 79.90 Br.upf
CELL_PARAMETERS angstrom
-2.625 2.625 5.564
2.625 -2.625 5.564
2.625 2.625 -5.564
ATOMIC_POSITIONS angstrom
Fe 1.304 1.304 0.000
Fe 3.947 1.304 0.000
Fe -1.321 1.321 5.564
Fe 1.321 1.321 5.564
Se 2.625 0.000 1.371
Se 0.000 2.625 1.371
Se 0.000 0.000 9.742
Br 0.000 0.000 4.178

***

! Tb3CuSnS7 | the Materials Project | PBE-GGA | relaxed; values from VASP
! VASP energy ... -136.023 eV for the cell shown
! Formation energy from the elements ... -20.6 eV per formula unit
! Symmetry ... P6_3
! MP2020-corrected energy ... -5.96 eV per atom
! Piezoelectric modulus e_max ... 1.1 C/m2
&SYSTEM
  ibrav = 0, nat = 24, ntyp = 4
/
ATOMIC_SPECIES
Tb 158.93 Tb.upf
Cu 63.55 Cu.upf
Sn 118.71 Sn.upf
S 32.06 S.upf
CELL_PARAMETERS angstrom
9.819 0.000 0.000
-4.909 8.503 0.000
0.000 0.000 6.213
ATOMIC_POSITIONS angstrom
Tb -2.414 6.717 0.000
Tb 0.299 3.054 0.000
Tb 2.795 1.268 3.107
Tb 2.115 7.236 0.000
Tb 4.610 5.449 3.107
Tb 7.324 1.786 3.107
Cu 0.000 0.000 2.492
Cu 0.000 0.000 5.598
Sn 0.000 5.669 3.515
Sn 4.909 2.834 0.409
S -1.739 4.415 4.640
S -3.070 7.246 2.654
S 0.169 2.221 2.654
S 2.008 0.964 5.760
S 0.000 5.669 1.119
S -0.217 7.802 4.640
S 1.955 4.790 4.640
S 2.954 3.713 1.533
S 5.126 0.702 1.533
S 4.909 2.834 4.225
S 2.901 7.539 2.654
S 4.740 6.282 5.760
S 7.980 1.257 5.760
S 6.648 4.089 1.533

***

! Rb2BiAuCl6 | the Materials Project | PBE-GGA | relaxed; values from VASP
! VASP energy ... -31.979 eV for the cell shown
! Formation energy from the elements ... -15.4 eV per formula unit
! Symmetry ... Fm-3m
! MP2020-corrected energy ... -3.57 eV per atom
&SYSTEM
  ibrav = 0, nat = 10, ntyp = 4
/
ATOMIC_SPECIES
Rb 85.47 Rb.upf
Bi 208.98 Bi.upf
Au 196.97 Au.upf
Cl 35.45 Cl.upf
CELL_PARAMETERS angstrom
0.000 5.433 5.433
5.433 0.000 5.433
5.433 5.433 0.000
ATOMIC_POSITIONS angstrom
Rb 2.717 2.717 2.717
Rb 8.150 8.150 8.150
Bi 0.000 0.000 0.000
Au 5.433 5.433 5.433
Cl 5.433 5.433 2.726
Cl 5.433 2.726 5.433
Cl 8.140 5.433 5.433
Cl 2.726 5.433 5.433
Cl 5.433 8.140 5.433
Cl 5.433 5.433 8.140

***

! Y3AlO6 | the Materials Project | PBE-GGA | relaxed; values from VASP
! VASP energy ... -173.484 eV for the cell shown
! Formation energy from the elements ... -38.0 eV per formula unit
! Symmetry ... R-3
! MP2020-corrected energy ... -9.09 eV per atom
&SYSTEM
  ibrav = 0, nat = 20, ntyp = 3
/
ATOMIC_SPECIES
Y 88.91 Y.upf
Al 26.98 Al.upf
O 16.00 O.upf
CELL_PARAMETERS angstrom
4.659 2.690 3.574
-4.659 2.690 3.574
0.000 -5.380 3.574
ATOMIC_POSITIONS angstrom
Y -2.358 -2.353 4.969
Y -3.217 0.866 5.752
Y 0.859 -3.219 5.752
Y -0.859 3.219 4.969
Y 3.217 -0.866 4.969
Y 2.358 2.353 5.752
Al 0.000 0.000 0.000
Al 0.000 0.000 5.360
O -4.071 -1.231 5.973
O -0.969 -4.141 4.748
O -1.695 -0.228 4.327
O -3.102 2.910 4.748
O -0.650 -1.582 6.394
O 1.045 -1.354 4.327
O -1.045 1.354 6.394
O 0.650 1.582 4.327
O 3.102 -2.910 5.973
O 1.695 0.228 6.394
O 0.969 4.141 5.973
O 4.071 1.231 4.748

***

! Er2Co3Cu | the Materials Project | PBE-GGA | relaxed; values from VASP
! VASP energy ... -35.839 eV for the cell shown
! Formation energy from the elements ... -1.3 eV per formula unit
! Symmetry ... R-3m
&SYSTEM
  ibrav = 0, nat = 6, ntyp = 3
/
ATOMIC_SPECIES
Er 167.26 Er.upf
Co 58.93 Co.upf
Cu 63.55 Cu.upf
CELL_PARAMETERS angstrom
2.511 1.450 4.176
-2.511 1.450 4.176
0.000 -2.900 4.176
ATOMIC_POSITIONS angstrom
Er 0.000 0.000 1.525
Er 0.000 0.000 11.004
Co -1.256 -0.725 4.176
Co -1.256 0.725 8.352
Co 0.000 1.450 4.176
Cu 0.000 0.000 6.264

***

! RbBaMg6 | the Materials Project | PBE-GGA | relaxed; values from VASP
! VASP energy ... -21.398 eV for the cell shown
! E above lowest polymorph ... 39 meV per atom
! Formation energy from the elements ... 1.8 eV per formula unit
&SYSTEM
  ibrav = 0, nat = 16, ntyp = 3
/
ATOMIC_SPECIES
Mg 24.30 Mg.upf
Ba 137.33 Ba.upf
Rb 85.47 Rb.upf
CELL_PARAMETERS angstrom
5.496 0.000 0.000
0.000 7.406 0.000
0.000 0.000 12.643
ATOMIC_POSITIONS angstrom
Mg 0.000 1.666 1.048
Mg 2.748 5.802 5.274
Mg 0.000 5.369 7.370
Mg 2.748 2.099 11.595
Mg 0.000 3.703 10.509
Mg 2.748 5.307 11.595
Mg 2.748 0.000 2.078
Mg 0.000 0.000 4.187
Mg 2.748 1.604 5.274
Mg 0.000 5.740 1.048
Mg 2.748 3.703 8.400
Mg 0.000 2.037 7.370
Ba 2.748 3.703 2.041
Ba 2.748 0.000 8.362
Rb 0.000 0.000 10.656
Rb 0.000 3.703 4.335

***

! ErAl7Fe5 | the Materials Project | PBE-GGA | relaxed; values from VASP
! VASP energy ... -78.324 eV for the cell shown
! Formation energy from the elements ... -5.2 eV per formula unit
! Symmetry ... Imm2
&SYSTEM
  ibrav = 0, nat = 13, ntyp = 3
/
ATOMIC_SPECIES
Er 167.26 Er.upf
Al 26.98 Al.upf
Fe 55.84 Fe.upf
CELL_PARAMETERS angstrom
-2.508 4.327 4.318
2.508 -4.327 4.318
2.508 4.327 -4.318
ATOMIC_POSITIONS angstrom
Er 0.000 0.000 0.000
Al 2.508 1.818 -0.002
Al 2.508 0.000 1.986
Al 0.000 0.000 2.973
Al 0.000 2.962 0.112
Al 0.000 0.000 5.750
Al 0.000 5.691 0.112
Al 0.000 2.509 4.316
Fe 1.239 2.169 -2.107
Fe 1.269 -2.157 2.211
Fe 1.239 6.484 -2.107
Fe 1.269 2.157 2.211
Fe 0.000 4.327 2.329

***

! BaNb3NO7 | the Materials Project | PBE-GGA | relaxed; values from VASP
! VASP energy ... -208.285 eV for the cell shown
! E above lowest polymorph ... 0 meV per atom
! Formation energy from the elements ... -33.8 eV per formula unit
! Symmetry ... Cm
! MP2020-corrected energy ... -9.08 eV per atom
&SYSTEM
  ibrav = 0, nat = 24, ntyp = 4
/
ATOMIC_SPECIES
Ba 137.33 Ba.upf
Nb 92.91 Nb.upf
N 14.01 N.upf
O 16.00 O.upf
CELL_PARAMETERS angstrom
10.579 -1.948 0.000
10.579 1.948 0.000
-0.107 0.000 9.110
ATOMIC_POSITIONS angstrom
Ba 0.000 0.000 0.000
Ba 0.674 0.000 4.599
Nb 5.340 0.000 9.094
Nb 8.059 0.000 2.884
Nb 8.024 0.000 6.211
Nb 13.699 0.000 1.753
Nb 13.743 0.000 7.291
Nb 16.360 0.000 4.587
N 6.518 0.000 4.552
N 15.127 0.000 5.991
O 3.595 0.000 1.455
O 3.518 0.000 7.774
O 6.632 0.000 1.414
O 6.546 0.000 7.722
O 9.268 0.000 4.598
O 9.432 0.000 7.436
O 9.512 0.000 1.728
O 12.221 0.000 6.228
O 12.318 0.000 2.945
O 12.628 0.000 0.084
O 15.228 0.000 3.076
O 15.448 0.000 0.032
O 18.223 0.000 6.066
O 18.328 0.000 3.082

***

! TiZnSnP3O12 | the Materials Project | PBE-GGA | relaxed; values from VASP
! VASP energy ... -254.206 eV for the cell shown
! Formation energy from the elements ... -46.6 eV per formula unit
! Symmetry ... R3c
! MP2020-corrected energy ... -7.52 eV per atom
&SYSTEM
  ibrav = 0, nat = 36, ntyp = 5
/
ATOMIC_SPECIES
Ti 47.87 Ti.upf
Zn 65.41 Zn.upf
Sn 118.71 Sn.upf
P 30.97 P.upf
O 16.00 O.upf
CELL_PARAMETERS angstrom
4.384 2.531 7.066
-4.384 2.531 7.066
0.000 -5.062 7.066
ATOMIC_POSITIONS angstrom
Ti 0.000 0.000 0.000
Ti 0.000 0.000 10.599
Zn 0.000 0.000 2.969
Zn 0.000 0.000 13.568
Sn 0.000 0.000 6.152
Sn 0.000 0.000 16.751
P -1.287 -2.265 8.403
P -3.066 -0.284 11.936
P -1.318 2.247 8.403
P 1.779 -2.513 11.936
P 2.605 0.018 8.403
P 1.287 2.797 11.936
O -3.464 -0.995 10.628
O -1.537 0.090 4.718
O -0.644 -3.679 8.512
O -0.870 -1.564 7.095
O -3.557 -1.023 13.173
O 0.690 -1.376 4.718
O -2.864 2.398 8.512
O -0.892 -1.470 9.640
O -0.920 1.535 7.095
O -1.520 -0.133 12.045
O 0.847 1.286 4.718
O -0.827 1.508 9.640
O 1.790 0.029 7.095
O -0.690 -1.376 15.317
O 0.875 -1.249 12.045
O 2.594 -2.502 10.628
O 1.719 -0.038 9.640
O -0.847 1.286 15.317
O 0.644 1.383 12.045
O 2.664 -2.569 13.173
O 0.870 3.498 10.628
O 3.509 1.282 8.512
O 1.537 0.090 15.317
O 0.892 3.592 13.173